Record 1
This record from the Materials Project describes Li3Te after structural relaxation. The functional is PBE.

a b c (Å): 6.230 6.230 4.563
angles (deg): 90.00 90.00 120.00
Element x y z (fractional)
Li  0.167  0.334  0.250
Li  0.666  0.833  0.250
Li  0.167  0.833  0.250
Li  0.833  0.666  0.750
Li  0.334  0.167  0.750
Li  0.833  0.167  0.750
Te  0.333  0.667  0.750
Te  0.667  0.333  0.250



Record 2
This record from the Materials Project describes CaLa2I8 after structural relaxation. The functional is PBE.

a b c (Å): 10.796 10.796 12.461
angles (deg): 67.79 67.79 62.60
Element x y z (fractional)
Ca  0.009  0.991  0.250
Ca  0.991  0.009  0.750
La  0.487  0.002  0.217
La  0.002  0.487  0.717
La  0.998  0.513  0.283
La  0.513  0.998  0.783
I  0.654  0.672  0.328
I  0.208  0.961  0.403
I  0.932  0.324  0.190
I  0.325  0.962  0.060
I  0.672  0.654  0.828
I  0.961  0.208  0.903
I  0.324  0.932  0.690
I  0.962  0.325  0.560
I  0.038  0.675  0.440
I  0.676  0.068  0.310
I  0.039  0.792  0.097
I  0.328  0.346  0.172
I  0.675  0.038  0.940
I  0.068  0.676  0.810
I  0.792  0.039  0.597
I  0.346  0.328  0.672



Record 3
This record from the Materials Project describes KSrSnBiO6 after structural relaxation. The functional is PBE.

a b c (Å): 5.921 5.921 5.921
angles (deg): 60.00 60.00 60.00
Element x y z (fractional)
K  0.750  0.750  0.750
Sr  0.250  0.250  0.250
Sn  0.500  0.500  0.500
Bi  0.000  0.000  0.000
O  0.747  0.253  0.253
O  0.253  0.747  0.747
O  0.747  0.253  0.747
O  0.253  0.747  0.253
O  0.747  0.747  0.253
O  0.253  0.253  0.747



Record 4
This record from the Materials Project describes NaInN2F6 after structural relaxation. The functional is PBE.

a b c (Å): 6.143 6.143 6.143
angles (deg): 60.00 60.00 60.00
Element x y z (fractional)
Na  0.500  0.500  0.500
In  0.000  0.000  0.000
N  0.250  0.250  0.250
N  0.750  0.750  0.750
F  0.759  0.241  0.241
F  0.241  0.759  0.759
F  0.241  0.759  0.241
F  0.759  0.241  0.759
F  0.241  0.241  0.759
F  0.759  0.759  0.241



Record 5
This record from the Materials Project describes LuTiClO3 after structural relaxation. The functional is PBE.

a b c (Å): 5.288 5.288 9.675
angles (deg): 74.39 74.39 42.87
Element x y z (fractional)
Lu  0.276  0.276  0.205
Lu  0.724  0.724  0.795
Ti  0.883  0.883  0.427
Ti  0.117  0.117  0.573
Cl  0.616  0.616  0.093
Cl  0.384  0.384  0.907
O  0.847  0.847  0.246
O  0.153  0.153  0.754
O  0.668  0.668  0.568
O  0.332  0.332  0.432
O  0.921  0.921  0.628
O  0.079  0.079  0.372



Record 6
This record from the Materials Project describes CdH8C2Br3N after structural relaxation. The functional is PBE.

a b c (Å): 14.024 7.074 9.136
angles (deg): 82.75 90.00 90.00
Element x y z (fractional)
Cd  0.746  0.022  0.783
Cd  0.254  0.978  0.217
Cd  0.246  0.478  0.217
Cd  0.754  0.522  0.783
H  0.919  0.025  0.367
H  0.417  0.719  0.552
H  0.512  0.662  0.778
H  0.583  0.281  0.448
H  0.091  0.463  0.688
H  0.415  0.590  0.873
H  0.409  0.963  0.688
H  0.524  0.056  0.143
H  0.183  0.123  0.658
H  0.317  0.623  0.658
H  0.581  0.525  0.367
H  0.085  0.090  0.873
H  0.419  0.475  0.633
H  0.915  0.910  0.127
H  0.976  0.556  0.143
H  0.012  0.838  0.222
H  0.817  0.877  0.342
H  0.650  0.107  0.141
H  0.988  0.162  0.778
H  0.683  0.377  0.342
H  0.850  0.607  0.141
H  0.083  0.219  0.552
H  0.591  0.037  0.312
H  0.024  0.444  0.857
H  0.476  0.944  0.857
H  0.350  0.893  0.859
H  0.917  0.781  0.448
H  0.585  0.410  0.127
H  0.150  0.393  0.859
H  0.081  0.975  0.633
H  0.488  0.338  0.222
H  0.909  0.537  0.312
C  0.895  0.881  0.354
C  0.583  0.115  0.202
C  0.417  0.885  0.798
C  0.605  0.381  0.354
C  0.105  0.119  0.646
C  0.395  0.619  0.646
C  0.083  0.385  0.798
C  0.917  0.615  0.202
Br  0.832  0.219  0.000
Br  0.839  0.307  0.583
Br  0.661  0.807  0.583
Br  0.332  0.281  0.000
Br  0.168  0.781  0.000
Br  0.595  0.280  0.790
Br  0.161  0.693  0.417
Br  0.405  0.720  0.210
Br  0.905  0.780  0.790
Br  0.339  0.193  0.417
Br  0.668  0.719  0.000
Br  0.095  0.220  0.210
N  0.562  0.320  0.218
N  0.062  0.180  0.782
N  0.938  0.820  0.218
N  0.438  0.680  0.782



| no. | uncorrected energy (eV/cell) |
| --- | --- |
| 1 | -23.41 |
| 2 | -80.67 |
| 3 | -56.36 |
| 4 | -36.19 |
| 5 | -95.44 |
| 6 | -263.94 |